Record 1
A plane-wave DFT calculation with PBE was carried out for a relaxed Na2ZnP4H16O20 crystal.

Cell: 10.8826 7.2925 12.1659 Å, 64.14 90.00 90.00°
With the nearest neighbours (Å) after each atom.
Atoms (fractional coordinates):
H (0.5691, 0.9794, 0.8968)  1 O 1.03
H (0.9125, 0.5926, 0.0770)  1 O 1.02
H (0.2039, 0.3535, 0.2126)  1 O 1.02
H (0.9309, 0.9794, 0.3968)  1 O 1.03
H (0.3819, 0.0038, 0.8070)  1 O 1.00
H (0.8912, 0.6048, 0.5558)  1 O 1.06
H (0.0345, 0.8325, 0.3069)  1 O 1.00
H (0.6088, 0.6048, 0.0558)  1 O 1.06
H (0.9101, 0.2362, 0.1047)  1 O 0.99
H (0.5875, 0.5926, 0.5770)  1 O 1.02
H (0.0899, 0.7638, 0.8953)  1 O 0.99
H (0.7039, 0.6465, 0.2874)  1 O 1.02
H (0.8819, 0.9962, 0.6930)  1 O 1.00
H (0.1181, 0.0038, 0.3070)  1 O 1.00
H (0.6651, 0.0294, 0.6580)  1 O 1.00
H (0.5899, 0.2362, 0.6047)  1 O 0.99
H (0.0875, 0.4074, 0.9230)  1 O 1.02
H (0.3349, 0.9706, 0.3420)  1 O 1.00
H (0.4309, 0.0206, 0.1032)  1 O 1.03
H (0.1651, 0.9706, 0.8420)  1 O 1.00
H (0.4125, 0.4074, 0.4230)  1 O 1.02
H (0.6181, 0.9962, 0.1930)  1 O 1.00
H (0.2961, 0.3535, 0.7126)  1 O 1.02
H (0.3912, 0.3952, 0.9442)  1 O 1.06
H (0.1088, 0.3952, 0.4442)  1 O 1.06
H (0.5345, 0.1675, 0.1931)  1 O 1.00
H (0.0691, 0.0206, 0.6032)  1 O 1.03
H (0.9655, 0.1675, 0.6931)  1 O 1.00
H (0.4655, 0.8325, 0.8069)  1 O 1.00
H (0.7961, 0.6465, 0.7874)  1 O 1.02
H (0.4101, 0.7638, 0.3953)  1 O 0.99
H (0.8349, 0.0294, 0.1580)  1 O 1.00
Zn (0.0000, 0.0000, 0.0000)  6 O 2.10-2.21
Zn (0.5000, 0.0000, 0.5000)  6 O 2.10-2.21
O (0.8694, 0.1377, 0.0813)  2 H 0.99-1.00
O (0.3177, 0.5015, 0.6923)  1 H 1.02
O (0.5561, 0.0977, 0.1413)  2 H 1.00
O (0.0429, 0.5310, 0.8592)  1 H 1.02
O (0.2411, 0.1425, 0.2159)  1 P 1.54, 1 H 1.57
O (0.0176, 0.4071, 0.3552)  1 H 1.44, 1 P 1.52
O (0.6823, 0.4985, 0.3077)  1 H 1.02
O (0.5304, 0.2313, 0.3213)  1 P 1.52
O (0.1565, 0.0056, 0.5765)  1 H 1.03
O (0.0561, 0.9023, 0.3587)  2 H 1.00
O (0.1306, 0.8623, 0.9187)  2 H 0.99-1.00
O (0.6565, 0.9944, 0.9235)  1 H 1.03
O (0.5176, 0.5929, 0.1448)  1 H 1.44, 1 P 1.52
O (0.3694, 0.8623, 0.4187)  2 H 0.99-1.00
O (0.6695, 0.6132, 0.9854)  1 H 1.06
O (0.2589, 0.1425, 0.7159)  1 P 1.54, 1 H 1.57
O (0.9696, 0.2313, 0.8213)  1 P 1.52
O (0.3305, 0.3868, 0.0146)  1 H 1.06
O (0.8435, 0.9944, 0.4235)  1 H 1.03
O (0.8612, 0.8121, 0.9844)  1 P 1.52, 1 H 1.60
O (0.6306, 0.1377, 0.5813)  2 H 0.99-1.00
O (0.9824, 0.5929, 0.6448)  1 H 1.44, 1 P 1.52
O (0.0304, 0.7687, 0.1787)  1 P 1.52
O (0.5429, 0.4690, 0.6408)  1 H 1.02
O (0.1388, 0.1879, 0.0156)  1 P 1.52, 1 H 1.60
O (0.1695, 0.3868, 0.5146)  1 H 1.06
O (0.4571, 0.5310, 0.3592)  1 H 1.02
O (0.9439, 0.0977, 0.6413)  2 H 1.00
O (0.7589, 0.8575, 0.7841)  1 P 1.54, 1 H 1.57
O (0.7411, 0.8575, 0.2841)  1 P 1.54, 1 H 1.57
O (0.4824, 0.4071, 0.8552)  1 H 1.44, 1 P 1.52
O (0.1823, 0.5015, 0.1923)  1 H 1.02
O (0.3435, 0.0056, 0.0765)  1 H 1.03
O (0.4439, 0.9023, 0.8587)  2 H 1.00
O (0.9571, 0.4690, 0.1408)  1 H 1.02
O (0.8305, 0.6132, 0.4854)  1 H 1.06
O (0.4696, 0.7687, 0.6787)  1 P 1.52
O (0.8177, 0.4985, 0.8077)  1 H 1.02
O (0.3612, 0.1879, 0.5156)  1 P 1.52, 1 H 1.60
O (0.6388, 0.8121, 0.4844)  1 P 1.52, 1 H 1.60
P (0.7587, 0.8210, 0.4175)  4 O 1.52-1.59
P (0.9554, 0.4599, 0.7791)  4 O 1.52-1.60
P (0.0446, 0.5401, 0.2209)  4 O 1.52-1.60
P (0.5446, 0.4599, 0.2791)  4 O 1.52-1.60
P (0.2413, 0.1790, 0.5825)  4 O 1.52-1.59
P (0.7413, 0.8210, 0.9175)  4 O 1.52-1.59
P (0.4554, 0.5401, 0.7209)  4 O 1.52-1.60
P (0.2587, 0.1790, 0.0825)  4 O 1.52-1.59
Na (0.3281, 0.7012, 0.0440)  6 O 2.35-2.60
Na (0.8281, 0.2988, 0.4560)  6 O 2.35-2.60
Na (0.6719, 0.2988, 0.9560)  6 O 2.35-2.60
Na (0.1719, 0.7012, 0.5440)  6 O 2.35-2.60

Calculated values
**ΔE to the lowest computed polymorph**: 0.0000 eV/atom
**Formation energy**: -1867 meV per atom
**VASP energy**: -5.705 eV per atom
**Energy with MP2020 corrections**: -259.1 eV per formula unit

---

Record 2
A plane-wave DFT calculation with PBE was carried out for a relaxed LiTiP4O12 crystal.

Cell: 8.3844 9.5049 12.8740 Å, 90.00 90.00 90.00°
With the nearest neighbours (Å) after each atom.
Atoms (fractional coordinates):
O (0.5355, 0.8734, 0.9269)  1 P 1.50
O (0.9070, 0.8750, 0.1023)  1 P 1.48
O (0.0978, 0.5694, 0.2418)  2 P 1.59-1.62
O (0.1863, 0.6303, 0.0656)  1 P 1.52
O (0.0355, 0.6266, 0.4269)  1 P 1.50
O (0.1469, 0.9637, 0.3212)  2 P 1.60-1.62
O (0.6863, 0.6303, 0.4344)  1 P 1.52
O (0.9022, 0.0694, 0.2418)  2 P 1.59-1.62
O (0.4070, 0.6250, 0.6023)  1 P 1.48
O (0.9645, 0.1266, 0.4269)  1 P 1.50
O (0.1863, 0.8697, 0.9344)  1 P 1.52
O (0.4022, 0.4306, 0.7418)  2 P 1.59-1.62
O (0.9645, 0.3734, 0.5731)  1 P 1.50
O (0.0930, 0.3750, 0.1023)  1 P 1.48
O (0.8137, 0.1303, 0.0656)  1 P 1.52
O (0.3531, 0.0363, 0.8212)  2 P 1.60-1.62
O (0.4022, 0.0694, 0.2582)  2 P 1.59-1.62
O (0.0978, 0.9306, 0.7582)  2 P 1.59-1.62
O (0.3137, 0.3697, 0.5656)  1 P 1.52
O (0.0930, 0.1250, 0.8977)  1 P 1.48
O (0.8531, 0.0363, 0.6788)  2 P 1.60-1.62
O (0.1257, 0.3782, 0.3763)  1 P 1.51
O (0.5930, 0.3750, 0.3977)  1 P 1.48
O (0.8743, 0.6218, 0.6237)  1 P 1.51
O (0.6257, 0.3782, 0.1237)  1 P 1.51
O (0.1257, 0.1218, 0.6237)  1 P 1.51
O (0.8743, 0.8782, 0.3763)  1 P 1.51
O (0.9070, 0.6250, 0.8977)  1 P 1.48
O (0.6257, 0.1218, 0.8763)  1 P 1.51
O (0.4070, 0.8750, 0.3977)  1 P 1.48
O (0.1469, 0.5363, 0.6788)  2 P 1.60-1.62
O (0.6469, 0.9637, 0.1788)  2 P 1.60-1.62
O (0.5930, 0.1250, 0.6023)  1 P 1.48
O (0.3137, 0.1303, 0.4344)  1 P 1.52
O (0.6469, 0.5363, 0.8212)  2 P 1.60-1.62
O (0.5355, 0.6266, 0.0731)  1 P 1.50
O (0.5978, 0.9306, 0.7418)  2 P 1.59-1.62
O (0.0355, 0.8734, 0.5731)  1 P 1.50
O (0.8137, 0.3697, 0.9344)  1 P 1.52
O (0.4645, 0.1266, 0.0731)  1 P 1.50
O (0.3743, 0.6218, 0.8763)  1 P 1.51
O (0.4645, 0.3734, 0.9269)  1 P 1.50
O (0.3743, 0.8782, 0.1237)  1 P 1.51
O (0.5978, 0.5694, 0.2582)  2 P 1.59-1.62
O (0.9022, 0.4306, 0.7582)  2 P 1.59-1.62
O (0.3531, 0.4637, 0.1788)  2 P 1.60-1.62
O (0.8531, 0.4637, 0.3212)  2 P 1.60-1.62
O (0.6863, 0.8697, 0.5656)  1 P 1.52
P (0.8237, 0.4967, 0.8625)  4 O 1.48-1.62
P (0.0322, 0.9911, 0.6511)  4 O 1.50-1.60
P (0.8237, 0.0033, 0.1375)  4 O 1.48-1.62
P (0.6763, 0.9967, 0.6375)  4 O 1.48-1.62
P (0.4678, 0.4911, 0.8489)  4 O 1.50-1.60
P (0.4678, 0.0089, 0.1511)  4 O 1.50-1.60
P (0.3237, 0.4967, 0.6375)  4 O 1.48-1.62
P (0.6763, 0.5033, 0.3625)  4 O 1.48-1.62
P (0.1763, 0.5033, 0.1375)  4 O 1.48-1.62
P (0.5322, 0.5089, 0.1511)  4 O 1.50-1.60
P (0.5322, 0.9911, 0.8489)  4 O 1.50-1.60
P (0.0322, 0.5089, 0.3489)  4 O 1.50-1.60
P (0.1763, 0.9967, 0.8625)  4 O 1.48-1.62
P (0.9678, 0.4911, 0.6511)  4 O 1.50-1.60
P (0.3237, 0.0033, 0.3625)  4 O 1.48-1.62
P (0.9678, 0.0089, 0.3489)  4 O 1.50-1.60
Li (0.0000, 0.7500, 0.0000)  4 O 1.94-2.11
Li (0.5000, 0.7500, 0.5000)  4 O 1.94-2.11
Li (0.0000, 0.2500, 0.0000)  4 O 1.94-2.11
Li (0.5000, 0.2500, 0.5000)  4 O 1.94-2.11
Ti (0.8667, 0.7500, 0.5000)  6 O 2.01-2.07
Ti (0.6333, 0.2500, 0.0000)  6 O 2.01-2.07
Ti (0.3667, 0.7500, 0.0000)  6 O 2.01-2.07
Ti (0.1333, 0.2500, 0.5000)  6 O 2.01-2.07

Calculated values
**ΔE to the lowest computed polymorph**: 0.0000 eV/atom
**Formation energy**: -2756 meV per atom
**VASP energy**: -7.344 eV per atom
**Energy with MP2020 corrections**: -140.4 eV per formula unit

---

Record 3
A plane-wave DFT calculation with PBE was carried out for a relaxed KOs2O6 crystal.

Cell: 7.2294 7.2294 7.2294 Å, 59.89 59.89 59.89°
With the nearest neighbours (Å) after each atom.
Atoms (fractional coordinates):
K (0.4992, 0.4992, 0.4992)  6 O 3.14-3.17
K (0.7332, 0.7332, 0.7332)  6 O 2.99-3.35
O (0.1916, 0.8084, 0.1916)  2 Os 1.92-1.94
O (0.8096, 0.1913, 0.8096)  2 Os 1.92
O (0.4391, 0.0598, 0.0598)  2 Os 1.92
O (0.1913, 0.8096, 0.8096)  2 Os 1.92
O (0.8084, 0.1916, 0.1916)  2 Os 1.92-1.94
O (0.0598, 0.4391, 0.0598)  2 Os 1.92
O (0.0598, 0.0598, 0.4391)  2 Os 1.92
O (0.4416, 0.0583, 0.4416)  2 Os 1.93
O (0.8096, 0.8096, 0.1913)  2 Os 1.92
O (0.4416, 0.4416, 0.0583)  2 Os 1.93
O (0.0583, 0.4416, 0.4416)  2 Os 1.93
O (0.1916, 0.1916, 0.8084)  2 Os 1.92-1.94
Os (0.6246, 0.1243, 0.1243)  6 O 1.92-1.94
Os (0.1244, 0.1244, 0.1244)  6 O 1.92
Os (0.1243, 0.6246, 0.1243)  6 O 1.92-1.94
Os (0.1243, 0.1243, 0.6246)  6 O 1.92-1.94

Calculated values
**ΔE to the lowest computed polymorph**: 0.0112 eV/atom
**Formation energy**: -1647 meV per atom
**VASP energy**: -7.106 eV per atom
**Energy with MP2020 corrections**: -68.1 eV per formula unit